(1)
Entry from the Materials Project: an optimized crystal structure of Na3P6N11 (meta-GGA r2SCAN).

The structure in POSCAR format:
```
Na3P6N11
1.0
10.098 0.000 0.000
0.000 10.098 0.000
0.000 0.000 10.098
Na P N
12 24 44
Direct
0.031 0.031 0.031 Na
0.125 0.625 0.875 Na
0.219 0.781 0.281 Na
0.281 0.219 0.781 Na
0.375 0.375 0.375 Na
0.469 0.969 0.531 Na
0.531 0.469 0.969 Na
0.625 0.875 0.125 Na
0.719 0.719 0.719 Na
0.781 0.281 0.219 Na
0.875 0.125 0.625 Na
0.969 0.531 0.469 Na
0.015 0.826 0.563 P
0.063 0.485 0.174 P
0.075 0.235 0.312 P
0.174 0.063 0.485 P
0.188 0.925 0.735 P
0.235 0.312 0.075 P
0.265 0.688 0.575 P
0.312 0.075 0.235 P
0.326 0.937 0.985 P
0.425 0.765 0.812 P
0.437 0.515 0.674 P
0.485 0.174 0.063 P
0.515 0.674 0.437 P
0.563 0.015 0.826 P
0.575 0.265 0.688 P
0.674 0.437 0.515 P
0.688 0.575 0.265 P
0.735 0.188 0.925 P
0.765 0.812 0.425 P
0.812 0.425 0.765 P
0.826 0.563 0.015 P
0.925 0.735 0.188 P
0.937 0.985 0.326 P
0.985 0.326 0.937 P
0.021 0.380 0.285 N
0.035 0.965 0.465 N
0.038 0.630 0.228 N
0.039 0.875 0.713 N
0.120 0.715 0.521 N
0.125 0.213 0.461 N
0.130 0.272 0.962 N
0.212 0.212 0.212 N
0.213 0.461 0.125 N
0.215 0.979 0.880 N
0.228 0.038 0.630 N
0.272 0.962 0.130 N
0.285 0.021 0.380 N
0.287 0.539 0.625 N
0.288 0.788 0.712 N
0.370 0.728 0.462 N
0.375 0.787 0.961 N
0.380 0.285 0.021 N
0.461 0.125 0.213 N
0.462 0.370 0.728 N
0.465 0.035 0.965 N
0.479 0.620 0.785 N
0.521 0.120 0.715 N
0.535 0.535 0.535 N
0.538 0.870 0.772 N
0.539 0.625 0.287 N
0.620 0.785 0.479 N
0.625 0.287 0.539 N
0.630 0.228 0.038 N
0.712 0.288 0.788 N
0.713 0.039 0.875 N
0.715 0.521 0.120 N
0.728 0.462 0.370 N
0.772 0.538 0.870 N
0.785 0.479 0.620 N
0.787 0.961 0.375 N
0.788 0.712 0.288 N
0.870 0.772 0.538 N
0.875 0.713 0.039 N
0.880 0.215 0.979 N
0.961 0.375 0.787 N
0.962 0.130 0.272 N
0.965 0.465 0.035 N
0.979 0.880 0.215 N
```

Calculated values
uncorrected energy: -721.2 eV/cell
volume: 12.87 Å³ per atom
ΔE_f: -0.7590 eV per atom

(2)
Entry from the Materials Project: an optimized crystal structure of NaVN2 (meta-GGA r2SCAN).

The structure in POSCAR format:
```
NaVN2
1.0
2.908 -5.892 0.000
2.908 5.892 0.000
0.000 0.000 6.801
Na V N
4 4 8
Direct
0.177 0.823 0.929 Na
0.323 0.677 0.429 Na
0.677 0.323 0.571 Na
0.823 0.177 0.071 Na
0.071 0.929 0.356 V
0.429 0.571 0.856 V
0.571 0.429 0.144 V
0.929 0.071 0.644 V
0.082 0.918 0.619 N
0.112 0.388 0.750 N
0.388 0.112 0.250 N
0.418 0.582 0.119 N
0.582 0.418 0.881 N
0.612 0.888 0.750 N
0.888 0.612 0.250 N
0.918 0.082 0.381 N
```

Calculated values
uncorrected energy: -156.8 eV/cell
volume: 14.57 Å³ per atom
ΔE_f: -0.8197 eV per atom

(3)
Entry from the Materials Project: an optimized crystal structure of Nb5N6 (meta-GGA r2SCAN).

The structure in POSCAR format:
```
Nb5N6
1.0
5.250 0.000 0.000
-2.625 4.547 0.000
0.000 0.000 10.487
Nb N
10 12
Direct
0.000 0.324 0.250 Nb
0.000 0.676 0.750 Nb
0.324 0.000 0.250 Nb
0.324 0.324 0.750 Nb
0.333 0.667 0.000 Nb
0.333 0.667 0.500 Nb
0.667 0.333 0.000 Nb
0.667 0.333 0.500 Nb
0.676 0.000 0.750 Nb
0.676 0.676 0.250 Nb
0.000 0.341 0.622 N
0.000 0.341 0.878 N
0.000 0.659 0.122 N
0.000 0.659 0.378 N
0.341 0.000 0.622 N
0.341 0.000 0.878 N
0.341 0.341 0.122 N
0.341 0.341 0.378 N
0.659 0.000 0.122 N
0.659 0.000 0.378 N
0.659 0.659 0.622 N
0.659 0.659 0.878 N
```

Calculated values
uncorrected energy: -382.8 eV/cell
volume: 11.38 Å³ per atom
ΔE_f: -1.1782 eV per atom

(4)
Entry from the Materials Project: an optimized crystal structure of Nb4N5 (meta-GGA r2SCAN).

The structure in POSCAR format:
```
Nb4N5
1.0
-3.467 3.467 2.156
3.467 -3.467 2.156
3.467 3.467 -2.156
Nb N
4 5
Direct
0.105 0.717 0.822 Nb
0.283 0.105 0.388 Nb
0.717 0.895 0.612 Nb
0.895 0.283 0.178 Nb
0.000 0.000 0.000 N
0.192 0.407 0.599 N
0.407 0.808 0.215 N
0.593 0.192 0.785 N
0.808 0.593 0.401 N
```

Calculated values
uncorrected energy: -154.7 eV/cell
volume: 11.52 Å³ per atom
ΔE_f: -1.1202 eV per atom

(5)
Entry from the Materials Project: an optimized crystal structure of Nb3N5 (meta-GGA r2SCAN).

The structure in POSCAR format:
```
Nb3N5
1.0
1.950 -5.199 0.000
1.950 5.199 0.000
0.000 0.000 10.394
Nb N
6 10
Direct
0.131 0.869 0.560 Nb
0.131 0.869 0.940 Nb
0.202 0.798 0.250 Nb
0.798 0.202 0.750 Nb
0.869 0.131 0.060 Nb
0.869 0.131 0.440 Nb
0.047 0.953 0.120 N
0.047 0.953 0.380 N
0.235 0.765 0.750 N
0.309 0.691 0.075 N
0.309 0.691 0.425 N
0.691 0.309 0.575 N
0.691 0.309 0.925 N
0.765 0.235 0.250 N
0.953 0.047 0.620 N
0.953 0.047 0.880 N
```

Calculated values
uncorrected energy: -255.0 eV/cell
volume: 13.17 Å³ per atom
ΔE_f: -0.9574 eV per atom

(6)
Entry from the Materials Project: an optimized crystal structure of Nb3Zn3N (meta-GGA r2SCAN).

The structure in POSCAR format:
```
Nb3Zn3N
1.0
0.000 5.835 5.835
5.835 0.000 5.835
5.835 5.835 0.000
Nb Zn N
12 12 4
Direct
0.057 0.057 0.693 Nb
0.057 0.693 0.057 Nb
0.057 0.693 0.693 Nb
0.307 0.307 0.943 Nb
0.307 0.943 0.307 Nb
0.307 0.943 0.943 Nb
0.693 0.057 0.057 Nb
0.693 0.057 0.693 Nb
0.693 0.693 0.057 Nb
0.943 0.307 0.307 Nb
0.943 0.307 0.943 Nb
0.943 0.943 0.307 Nb
0.000 0.500 0.500 Zn
0.293 0.293 0.293 Zn
0.293 0.293 0.620 Zn
0.293 0.620 0.293 Zn
0.380 0.707 0.707 Zn
0.500 0.000 0.500 Zn
0.500 0.500 0.000 Zn
0.500 0.500 0.500 Zn
0.620 0.293 0.293 Zn
0.707 0.380 0.707 Zn
0.707 0.707 0.380 Zn
0.707 0.707 0.707 Zn
0.000 0.000 0.000 N
0.000 0.000 0.500 N
0.000 0.500 0.000 N
0.500 0.000 0.000 N
```

Calculated values
uncorrected energy: -456.4 eV/cell
volume: 14.19 Å³ per atom
ΔE_f: -0.5759 eV per atom

(7)
Entry from the Materials Project: an optimized crystal structure of NdN (meta-GGA r2SCAN).

The structure in POSCAR format:
```
NdN
1.0
0.000 2.578 2.578
2.578 0.000 2.578
2.578 2.578 0.000
Nd N
1 1
Direct
0.000 0.000 0.000 Nd
0.500 0.500 0.500 N
```

Calculated values
uncorrected energy: -41.8 eV/cell
volume: 17.14 Å³ per atom
ΔE_f: -1.6327 eV per atom

(8)
Entry from the Materials Project: an optimized crystal structure of Nd3Se3N (meta-GGA r2SCAN).

The structure in POSCAR format:
```
Nd3Se3N
1.0
12.873 0.000 0.000
0.000 4.126 0.000
0.000 0.000 13.521
Nd Se N
12 12 4
Direct
0.041 0.250 0.152 Nd
0.071 0.250 0.632 Nd
0.210 0.250 0.862 Nd
0.290 0.750 0.362 Nd
0.429 0.750 0.132 Nd
0.459 0.750 0.652 Nd
0.541 0.250 0.348 Nd
0.571 0.250 0.868 Nd
0.710 0.250 0.638 Nd
0.790 0.750 0.138 Nd
0.929 0.750 0.368 Nd
0.959 0.750 0.848 Nd
0.092 0.250 0.393 Se
0.132 0.750 0.996 Se
0.226 0.750 0.690 Se
0.274 0.250 0.190 Se
0.368 0.250 0.496 Se
0.408 0.750 0.893 Se
0.592 0.250 0.107 Se
0.632 0.750 0.504 Se
0.726 0.750 0.810 Se
0.774 0.250 0.310 Se
0.868 0.250 0.004 Se
0.908 0.750 0.607 Se
0.042 0.250 0.797 N
0.458 0.750 0.297 N
0.542 0.250 0.703 N
0.958 0.750 0.203 N
```

Calculated values
uncorrected energy: -620.2 eV/cell
volume: 25.65 Å³ per atom
ΔE_f: -2.1044 eV per atom

(9)
Entry from the Materials Project: an optimized crystal structure of NdSi3N5 (meta-GGA r2SCAN).

The structure in POSCAR format:
```
NdSi3N5
1.0
4.776 0.000 0.000
0.000 7.821 0.000
0.000 0.000 11.213
Nd Si N
4 12 20
Direct
0.005 0.061 0.171 Nd
0.495 0.939 0.671 Nd
0.505 0.439 0.829 Nd
0.995 0.561 0.329 Nd
0.014 0.293 0.583 Si
0.017 0.162 0.838 Si
0.027 0.467 0.041 Si
0.473 0.533 0.541 Si
0.483 0.838 0.338 Si
0.486 0.707 0.083 Si
0.514 0.207 0.417 Si
0.517 0.338 0.162 Si
0.527 0.033 0.959 Si
0.973 0.967 0.459 Si
0.983 0.662 0.662 Si
0.986 0.793 0.917 Si
0.048 0.342 0.920 N
0.170 0.207 0.704 N
0.173 0.388 0.168 N
0.188 0.981 0.906 N
0.209 0.649 0.988 N
0.291 0.351 0.488 N
0.312 0.019 0.406 N
0.327 0.612 0.668 N
0.330 0.793 0.204 N
0.452 0.658 0.420 N
0.548 0.158 0.080 N
0.670 0.293 0.296 N
0.673 0.112 0.832 N
0.688 0.519 0.094 N
0.709 0.851 0.012 N
0.791 0.149 0.512 N
0.812 0.481 0.594 N
0.827 0.888 0.332 N
0.830 0.707 0.796 N
0.952 0.842 0.580 N
```

Calculated values
uncorrected energy: -458.9 eV/cell
volume: 11.63 Å³ per atom
ΔE_f: -1.4825 eV per atom

(10)
Entry from the Materials Project: an optimized crystal structure of V4Ni2N (meta-GGA r2SCAN).

The structure in POSCAR format:
```
V4Ni2N
1.0
0.000 5.393 5.393
5.393 0.000 5.393
5.393 5.393 0.000
V Ni N
16 8 4
Direct
0.000 0.000 0.000 V
0.000 0.000 0.500 V
0.000 0.500 0.000 V
0.194 0.194 0.556 V
0.194 0.556 0.194 V
0.194 0.556 0.556 V
0.444 0.444 0.806 V
0.444 0.806 0.444 V
0.444 0.806 0.806 V
0.500 0.000 0.000 V
0.556 0.194 0.194 V
0.556 0.194 0.556 V
0.556 0.556 0.194 V
0.806 0.444 0.444 V
0.806 0.444 0.806 V
0.806 0.806 0.444 V
0.119 0.794 0.794 Ni
0.206 0.206 0.206 Ni
0.206 0.206 0.881 Ni
0.206 0.881 0.206 Ni
0.794 0.119 0.794 Ni
0.794 0.794 0.119 Ni
0.794 0.794 0.794 Ni
0.881 0.206 0.206 Ni
0.000 0.500 0.500 N
0.500 0.000 0.500 N
0.500 0.500 0.000 N
0.500 0.500 0.500 N
```

Calculated values
uncorrected energy: -374.8 eV/cell
volume: 11.20 Å³ per atom
ΔE_f: -0.6062 eV per atom

(11)
Entry from the Materials Project: an optimized crystal structure of Ni2W3N (meta-GGA r2SCAN).

The structure in POSCAR format:
```
Ni2W3N
1.0
6.636 0.000 0.000
0.000 6.636 0.000
0.000 0.000 6.636
Ni W N
8 12 4
Direct
0.066 0.066 0.066 Ni
0.184 0.816 0.316 Ni
0.316 0.184 0.816 Ni
0.434 0.934 0.566 Ni
0.566 0.434 0.934 Ni
0.684 0.684 0.684 Ni
0.816 0.316 0.184 Ni
0.934 0.566 0.434 Ni
0.050 0.875 0.700 W
0.125 0.200 0.450 W
0.200 0.450 0.125 W
0.300 0.550 0.625 W
0.375 0.800 0.950 W
0.450 0.125 0.200 W
0.550 0.625 0.300 W
0.625 0.300 0.550 W
0.700 0.050 0.875 W
0.800 0.950 0.375 W
0.875 0.700 0.050 W
0.950 0.375 0.800 W
0.125 0.625 0.875 N
0.375 0.375 0.375 N
0.625 0.875 0.125 N
0.875 0.125 0.625 N
```

Calculated values
uncorrected energy: -752.9 eV/cell
volume: 12.17 Å³ per atom
ΔE_f: -0.1734 eV per atom

(12)
Entry from the Materials Project: an optimized crystal structure of WS2N2O2 (meta-GGA r2SCAN).

The structure in POSCAR format:
```
WS2N2O2
1.0
5.114 -3.879 0.000
5.114 3.879 0.000
-4.339 0.000 8.653
W S N O
2 4 4 4
Direct
0.088 0.912 0.750 W
0.912 0.088 0.250 W
0.231 0.721 0.545 S
0.279 0.769 0.955 S
0.721 0.231 0.045 S
0.769 0.279 0.455 S
0.247 0.403 0.157 N
0.403 0.247 0.657 N
0.597 0.753 0.343 N
0.753 0.597 0.843 N
0.120 0.194 0.818 O
0.194 0.120 0.318 O
0.806 0.880 0.682 O
0.880 0.806 0.182 O
```

Calculated values
uncorrected energy: -182.0 eV/cell
volume: 24.52 Å³ per atom
ΔE_f: 0.9489 eV per atom